Entry one
Material: BaMg6Cd
Method: DFT, PBE
State: optimized geometry Values from VASP.

Cell and atoms, written as Quantum ESPRESSO input:
```
&SYSTEM
  ibrav = 0, nat = 16, ntyp = 3
/
ATOMIC_SPECIES
Ba 137.33 Ba.upf
Mg 24.30 Mg.upf
Cd 112.41 Cd.upf
ATOMIC_POSITIONS crystal
Ba 0.000 0.500 0.331
Ba 0.000 0.000 0.831
Mg 0.000 0.257 0.080
Mg 0.000 0.743 0.080
Mg 0.000 0.500 0.840
Mg 0.500 0.278 0.928
Mg 0.500 0.722 0.928
Mg 0.500 0.500 0.667
Mg 0.000 0.757 0.580
Mg 0.000 0.243 0.580
Mg 0.000 0.000 0.340
Mg 0.500 0.778 0.428
Mg 0.500 0.222 0.428
Mg 0.500 0.000 0.167
Cd 0.500 0.500 0.147
Cd 0.500 0.000 0.647
CELL_PARAMETERS angstrom
5.170 0.000 0.000
0.000 7.063 0.000
0.000 0.000 12.117
```

Entry two
Material: BaMg6Cd
Method: DFT, PBE
State: optimized geometry Values from VASP.

Cell and atoms, written as Quantum ESPRESSO input:
```
&SYSTEM
  ibrav = 0, nat = 16, ntyp = 3
/
ATOMIC_SPECIES
Ba 137.33 Ba.upf
Mg 24.30 Mg.upf
Cd 112.41 Cd.upf
ATOMIC_POSITIONS crystal
Ba 0.500 0.500 0.669
Ba 0.500 0.000 0.169
Mg 0.500 0.740 0.921
Mg 0.500 0.260 0.921
Mg 0.000 0.226 0.576
Mg 0.000 0.774 0.576
Mg 0.000 0.500 0.850
Mg 0.000 0.000 0.831
Mg 0.500 0.240 0.421
Mg 0.500 0.760 0.421
Mg 0.000 0.726 0.076
Mg 0.000 0.274 0.076
Mg 0.000 0.000 0.350
Mg 0.000 0.500 0.331
Cd 0.500 0.000 0.657
Cd 0.500 0.500 0.157
CELL_PARAMETERS angstrom
-3.584 2.823 -2.512
-4.508 -1.182 5.104
3.880 10.043 5.753
```

The data favor entry one; the next most stable structure lies 0.008 eV/atom above it.